1.
{"formula": "CsB2H5O6", "functional": "PBE", "state": "optimized geometry", "lattice": [[11.500, 0.000, 0.000], [0.000, 8.362, 0.000], [0.000, 0.311, 13.368]], "species": ["Cs", "Cs", "Cs", "Cs", "Cs", "Cs", "Cs", "Cs", "B", "B", "B", "B", "B", "B", "B", "B", "B", "B", "B", "B", "B", "B", "B", "B", "H", "H", "H", "H", "H", "H", "H", "H", "H", "H", "H", "H", "H", "H", "H", "H", "H", "H", "H", "H", "H", "H", "H", "H", "H", "H", "H", "H", "H", "H", "H", "H", "H", "H", "H", "H", "H", "H", "H", "H", "O", "O", "O", "O", "O", "O", "O", "O", "O", "O", "O", "O", "O", "O", "O", "O", "O", "O", "O", "O", "O", "O", "O", "O", "O", "O", "O", "O", "O", "O", "O", "O", "O", "O", "O", "O", "O", "O", "O", "O", "O", "O", "O", "O", "O", "O", "O", "O"], "fractional_positions": [[0.563, 0.734, 0.978], [0.063, 0.266, 0.522], [0.437, 0.266, 0.022], [0.937, 0.734, 0.478], [0.079, 0.543, 0.860], [0.579, 0.457, 0.640], [0.921, 0.457, 0.140], [0.421, 0.543, 0.360], [0.378, 0.128, 0.577], [0.878, 0.872, 0.923], [0.622, 0.872, 0.423], [0.122, 0.128, 0.077], [0.157, 0.896, 0.696], [0.657, 0.104, 0.804], [0.843, 0.104, 0.304], [0.343, 0.896, 0.196], [0.372, 0.894, 0.697], [0.872, 0.106, 0.803], [0.628, 0.106, 0.303], [0.128, 0.894, 0.197], [0.270, 0.141, 0.737], [0.770, 0.859, 0.763], [0.730, 0.859, 0.263], [0.230, 0.141, 0.237], [0.529, 0.831, 0.745], [0.029, 0.169, 0.755], [0.471, 0.169, 0.255], [0.971, 0.831, 0.245], [0.477, 0.137, 0.456], [0.977, 0.863, 0.044], [0.523, 0.863, 0.544], [0.023, 0.137, 0.956], [0.204, 0.223, 0.866], [0.704, 0.777, 0.634], [0.796, 0.777, 0.134], [0.296, 0.223, 0.366], [0.983, 0.881, 0.706], [0.483, 0.119, 0.794], [0.017, 0.119, 0.294], [0.517, 0.881, 0.206], [0.899, 0.391, 0.700], [0.399, 0.609, 0.800], [0.101, 0.609, 0.300], [0.601, 0.391, 0.200], [0.845, 0.568, 0.676], [0.345, 0.432, 0.824], [0.155, 0.432, 0.324], [0.655, 0.568, 0.176], [0.292, 0.435, 0.609], [0.792, 0.565, 0.891], [0.708, 0.565, 0.391], [0.208, 0.435, 0.109], [0.275, 0.624, 0.618], [0.775, 0.376, 0.882], [0.725, 0.376, 0.382], [0.225, 0.624, 0.118], [0.777, 0.153, 0.518], [0.277, 0.847, 0.982], [0.223, 0.847, 0.482], [0.723, 0.153, 0.018], [0.829, 0.050, 0.609], [0.329, 0.950, 0.891], [0.171, 0.950, 0.391], [0.671, 0.050, 0.109], [0.414, 0.201, 0.488], [0.914, 0.799, 0.012], [0.586, 0.799, 0.512], [0.086, 0.201, 0.988], [0.410, 0.973, 0.600], [0.910, 0.027, 0.900], [0.590, 0.027, 0.400], [0.090, 0.973, 0.100], [0.313, 0.219, 0.641], [0.813, 0.781, 0.859], [0.687, 0.781, 0.359], [0.187, 0.219, 0.141], [0.053, 0.814, 0.691], [0.553, 0.186, 0.809], [0.947, 0.186, 0.309], [0.447, 0.814, 0.191], [0.258, 0.811, 0.682], [0.758, 0.189, 0.818], [0.742, 0.189, 0.318], [0.242, 0.811, 0.182], [0.250, 0.266, 0.810], [0.750, 0.734, 0.690], [0.750, 0.734, 0.190], [0.250, 0.266, 0.310], [0.157, 0.057, 0.717], [0.657, 0.943, 0.783], [0.843, 0.943, 0.283], [0.343, 0.057, 0.217], [0.356, 0.021, 0.772], [0.856, 0.979, 0.728], [0.644, 0.979, 0.228], [0.144, 0.021, 0.272], [0.457, 0.775, 0.729], [0.957, 0.225, 0.771], [0.543, 0.225, 0.271], [0.043, 0.775, 0.229], [0.891, 0.479, 0.649], [0.391, 0.521, 0.851], [0.109, 0.521, 0.351], [0.609, 0.479, 0.149], [0.287, 0.537, 0.571], [0.787, 0.463, 0.929], [0.713, 0.463, 0.429], [0.213, 0.537, 0.071], [0.832, 0.069, 0.535], [0.332, 0.931, 0.965], [0.168, 0.931, 0.465], [0.668, 0.069, 0.035]], "e_form_ev_per_atom": -1.968}

2.
{"formula": "Na3YSiGeP2O12", "functional": "PBE", "state": "optimized geometry", "lattice": [[12.699, 0.000, -9.400], [0.000, 9.147, 0.000], [-0.278, 0.000, 9.573]], "species": ["Na", "Na", "Na", "Na", "Na", "Na", "Na", "Na", "Na", "Na", "Na", "Na", "Y", "Y", "Y", "Y", "Si", "Si", "Si", "Si", "Ge", "Ge", "Ge", "Ge", "P", "P", "P", "P", "P", "P", "P", "P", "O", "O", "O", "O", "O", "O", "O", "O", "O", "O", "O", "O", "O", "O", "O", "O", "O", "O", "O", "O", "O", "O", "O", "O", "O", "O", "O", "O", "O", "O", "O", "O", "O", "O", "O", "O", "O", "O", "O", "O", "O", "O", "O", "O", "O", "O", "O", "O"], "fractional_positions": [[0.236, 0.727, 0.998], [0.736, 0.773, 0.498], [0.736, 0.227, 0.998], [0.236, 0.273, 0.498], [0.487, 0.102, 0.715], [0.487, 0.898, 0.215], [0.987, 0.602, 0.715], [0.987, 0.398, 0.215], [0.196, 0.919, 0.324], [0.196, 0.081, 0.824], [0.696, 0.419, 0.324], [0.696, 0.581, 0.824], [0.111, 0.744, 0.568], [0.111, 0.256, 0.068], [0.611, 0.244, 0.568], [0.611, 0.756, 0.068], [0.652, 0.880, 0.747], [0.652, 0.120, 0.247], [0.152, 0.380, 0.747], [0.152, 0.620, 0.247], [0.907, 0.782, 0.914], [0.907, 0.218, 0.414], [0.407, 0.282, 0.914], [0.407, 0.718, 0.414], [0.991, 0.966, 0.739], [0.991, 0.034, 0.239], [0.491, 0.466, 0.739], [0.491, 0.534, 0.239], [0.356, 0.932, 0.772], [0.356, 0.068, 0.272], [0.856, 0.432, 0.772], [0.856, 0.568, 0.272], [0.155, 0.557, 0.752], [0.860, 0.607, 0.778], [0.860, 0.393, 0.278], [0.155, 0.443, 0.252], [0.655, 0.057, 0.752], [0.360, 0.107, 0.778], [0.360, 0.893, 0.278], [0.655, 0.943, 0.252], [0.430, 0.568, 0.571], [0.553, 0.551, 0.912], [0.553, 0.449, 0.412], [0.430, 0.432, 0.071], [0.930, 0.068, 0.571], [0.053, 0.051, 0.912], [0.053, 0.949, 0.412], [0.930, 0.932, 0.071], [0.258, 0.883, 0.760], [0.758, 0.810, 0.773], [0.758, 0.190, 0.273], [0.258, 0.117, 0.260], [0.758, 0.383, 0.760], [0.258, 0.310, 0.773], [0.258, 0.690, 0.273], [0.758, 0.617, 0.260], [0.351, 0.898, 0.611], [0.646, 0.819, 0.898], [0.646, 0.181, 0.398], [0.351, 0.102, 0.111], [0.851, 0.398, 0.611], [0.146, 0.319, 0.898], [0.146, 0.681, 0.398], [0.851, 0.602, 0.111], [0.456, 0.871, 0.947], [0.548, 0.793, 0.553], [0.548, 0.207, 0.053], [0.456, 0.129, 0.447], [0.956, 0.371, 0.947], [0.048, 0.293, 0.553], [0.048, 0.707, 0.053], [0.956, 0.629, 0.447], [0.066, 0.860, 0.737], [0.903, 0.872, 0.730], [0.903, 0.128, 0.230], [0.066, 0.140, 0.237], [0.566, 0.360, 0.737], [0.403, 0.372, 0.730], [0.403, 0.628, 0.230], [0.566, 0.640, 0.237]], "e_form_ev_per_atom": -2.744, "relative_energy_ev_per_atom": 0.000}

3.
{"formula": "Al3Ni20B6", "functional": "PBE", "state": "optimized geometry", "lattice": [[0.000, 5.233, 5.233], [5.233, 0.000, 5.233], [5.233, 5.233, 0.000]], "species": ["Al", "Al", "Al", "Ni", "Ni", "Ni", "Ni", "Ni", "Ni", "Ni", "Ni", "Ni", "Ni", "Ni", "Ni", "Ni", "Ni", "Ni", "Ni", "Ni", "Ni", "Ni", "Ni", "B", "B", "B", "B", "B", "B"], "fractional_positions": [[0.000, 0.000, 0.000], [0.750, 0.750, 0.750], [0.250, 0.250, 0.250], [0.000, 0.338, 0.662], [0.000, 0.000, 0.662], [0.662, 0.338, 0.000], [0.000, 0.338, 0.000], [0.338, 0.000, 0.662], [0.338, 0.000, 0.000], [0.662, 0.000, 0.000], [0.338, 0.662, 0.000], [0.662, 0.000, 0.338], [0.000, 0.000, 0.338], [0.000, 0.662, 0.000], [0.000, 0.662, 0.338], [0.618, 0.147, 0.618], [0.382, 0.382, 0.853], [0.853, 0.382, 0.382], [0.382, 0.382, 0.382], [0.147, 0.618, 0.618], [0.618, 0.618, 0.618], [0.618, 0.618, 0.147], [0.382, 0.853, 0.382], [0.726, 0.274, 0.726], [0.726, 0.274, 0.274], [0.274, 0.726, 0.726], [0.274, 0.274, 0.726], [0.726, 0.726, 0.274], [0.274, 0.726, 0.274]], "e_form_ev_per_atom": -0.403}

4.
{"formula": "Ba3Ac", "functional": "PBE", "state": "optimized geometry", "lattice": [[1.666, -2.128, 8.299], [-2.823, -6.086, -5.584], [6.559, -1.485, -1.698]], "species": ["Ba", "Ba", "Ba", "Ba", "Ba", "Ba", "Ac", "Ac"], "fractional_positions": [[0.171, 0.341, 0.250], [0.659, 0.829, 0.250], [0.171, 0.829, 0.250], [0.829, 0.659, 0.750], [0.341, 0.171, 0.750], [0.829, 0.171, 0.750], [0.333, 0.667, 0.750], [0.667, 0.333, 0.250]], "e_form_ev_per_atom": 0.107, "relative_energy_ev_per_atom": 0.000}

5.
{"formula": "Hg5Br2O4", "functional": "PBE", "state": "optimized geometry", "lattice": [[-2.439, 3.897, 7.880], [-8.479, -1.561, -2.983], [7.219, -4.621, 3.123]], "species": ["Hg", "Hg", "Hg", "Hg", "Hg", "Hg", "Hg", "Hg", "Hg", "Hg", "Br", "Br", "Br", "Br", "O", "O", "O", "O", "O", "O", "O", "O"], "fractional_positions": [[0.139, 0.354, 0.215], [0.361, 0.076, 0.715], [0.861, 0.646, 0.785], [0.639, 0.924, 0.285], [0.589, 0.339, 0.250], [0.911, 0.661, 0.250], [0.411, 0.661, 0.750], [0.089, 0.339, 0.750], [0.250, 0.000, 0.250], [0.750, 0.000, 0.750], [0.890, 0.163, 0.273], [0.610, 0.383, 0.773], [0.110, 0.837, 0.727], [0.390, 0.617, 0.227], [0.678, 0.655, 0.623], [0.822, 0.944, 0.477], [0.532, 0.056, 0.877], [0.968, 0.345, 0.023], [0.032, 0.655, 0.977], [0.468, 0.944, 0.123], [0.322, 0.345, 0.377], [0.178, 0.056, 0.523]], "e_form_ev_per_atom": -0.597}

6.
{"formula": "Sb3Cl11F4", "functional": "PBE", "state": "optimized geometry", "lattice": [[17.153, 0.000, 0.000], [0.000, 9.837, 0.000], [0.000, 6.900, 12.714]], "species": ["Sb", "Sb", "Sb", "Sb", "Sb", "Sb", "Sb", "Sb", "Sb", "Sb", "Sb", "Sb", "Cl", "Cl", "Cl", "Cl", "Cl", "Cl", "Cl", "Cl", "Cl", "Cl", "Cl", "Cl", "Cl", "Cl", "Cl", "Cl", "Cl", "Cl", "Cl", "Cl", "Cl", "Cl", "Cl", "Cl", "Cl", "Cl", "Cl", "Cl", "Cl", "Cl", "Cl", "Cl", "Cl", "Cl", "Cl", "Cl", "Cl", "Cl", "Cl", "Cl", "Cl", "Cl", "Cl", "Cl", "F", "F", "F", "F", "F", "F", "F", "F", "F", "F", "F", "F", "F", "F", "F", "F"], "fractional_positions": [[0.927, 0.728, 0.270], [0.073, 0.272, 0.730], [0.427, 0.272, 0.230], [0.573, 0.728, 0.770], [0.688, 0.802, 0.202], [0.312, 0.198, 0.798], [0.188, 0.198, 0.298], [0.812, 0.802, 0.702], [0.334, 0.817, 0.373], [0.666, 0.183, 0.627], [0.834, 0.183, 0.127], [0.166, 0.817, 0.873], [0.574, 0.929, 0.118], [0.426, 0.071, 0.882], [0.074, 0.071, 0.382], [0.926, 0.929, 0.618], [0.652, 0.549, 0.250], [0.348, 0.451, 0.750], [0.152, 0.451, 0.250], [0.848, 0.549, 0.750], [0.926, 0.769, 0.097], [0.074, 0.231, 0.903], [0.426, 0.231, 0.403], [0.574, 0.769, 0.597], [0.559, 0.216, 0.231], [0.441, 0.784, 0.769], [0.059, 0.784, 0.269], [0.941, 0.216, 0.731], [0.902, 0.728, 0.428], [0.098, 0.272, 0.572], [0.402, 0.272, 0.072], [0.598, 0.728, 0.928], [0.741, 0.380, 0.055], [0.259, 0.620, 0.945], [0.241, 0.620, 0.445], [0.759, 0.380, 0.555], [0.347, 0.839, 0.526], [0.653, 0.161, 0.474], [0.847, 0.161, 0.974], [0.153, 0.839, 0.026], [0.929, 0.460, 0.344], [0.071, 0.540, 0.656], [0.429, 0.540, 0.156], [0.571, 0.460, 0.844], [0.666, 0.789, 0.364], [0.334, 0.211, 0.636], [0.166, 0.211, 0.136], [0.834, 0.789, 0.864], [0.313, 0.868, 0.200], [0.687, 0.132, 0.800], [0.813, 0.132, 0.300], [0.187, 0.868, 0.700], [0.947, 0.326, 0.101], [0.053, 0.674, 0.899], [0.447, 0.674, 0.399], [0.553, 0.326, 0.601], [0.900, 0.972, 0.199], [0.100, 0.028, 0.801], [0.400, 0.028, 0.301], [0.600, 0.972, 0.699], [0.733, 0.833, 0.073], [0.267, 0.167, 0.927], [0.233, 0.167, 0.427], [0.767, 0.833, 0.573], [0.240, 0.985, 0.339], [0.760, 0.015, 0.661], [0.740, 0.015, 0.161], [0.260, 0.985, 0.839], [0.802, 0.722, 0.260], [0.198, 0.278, 0.740], [0.302, 0.278, 0.240], [0.698, 0.722, 0.760]], "e_form_ev_per_atom": -1.196}

7.
{"formula": "Ca7MnN6", "functional": "PBE", "state": "optimized geometry", "lattice": [[-7.445, -3.066, 7.517], [0.938, -6.009, -1.521], [9.360, -0.803, 8.943]], "species": ["Ca", "Ca", "Ca", "Ca", "Ca", "Ca", "Ca", "Ca", "Ca", "Ca", "Ca", "Ca", "Ca", "Ca", "Ca", "Ca", "Ca", "Ca", "Ca", "Ca", "Ca", "Ca", "Ca", "Ca", "Ca", "Ca", "Ca", "Ca", "Mn", "Mn", "Mn", "Mn", "N", "N", "N", "N", "N", "N", "N", "N", "N", "N", "N", "N", "N", "N", "N", "N", "N", "N", "N", "N", "N", "N", "N", "N"], "fractional_positions": [[0.037, 0.732, 0.978], [0.463, 0.768, 0.478], [0.537, 0.768, 0.022], [0.963, 0.732, 0.522], [0.963, 0.268, 0.022], [0.537, 0.232, 0.522], [0.463, 0.232, 0.978], [0.037, 0.268, 0.478], [0.226, 0.859, 0.625], [0.274, 0.641, 0.125], [0.726, 0.641, 0.375], [0.774, 0.859, 0.875], [0.774, 0.141, 0.375], [0.726, 0.359, 0.875], [0.274, 0.359, 0.625], [0.226, 0.141, 0.125], [0.293, 0.610, 0.878], [0.207, 0.890, 0.378], [0.793, 0.890, 0.122], [0.707, 0.610, 0.622], [0.707, 0.390, 0.122], [0.793, 0.110, 0.622], [0.207, 0.110, 0.878], [0.293, 0.390, 0.378], [0.000, 0.437, 0.750], [0.500, 0.063, 0.250], [0.000, 0.563, 0.250], [0.500, 0.937, 0.750], [0.000, 0.931, 0.750], [0.500, 0.569, 0.250], [0.000, 0.069, 0.250], [0.500, 0.431, 0.750], [0.126, 0.762, 0.790], [0.374, 0.738, 0.290], [0.626, 0.738, 0.210], [0.874, 0.762, 0.710], [0.874, 0.238, 0.210], [0.626, 0.262, 0.710], [0.374, 0.262, 0.790], [0.126, 0.238, 0.290], [0.166, 0.591, 0.503], [0.334, 0.909, 0.003], [0.666, 0.909, 0.497], [0.834, 0.591, 0.997], [0.834, 0.409, 0.497], [0.666, 0.091, 0.997], [0.334, 0.091, 0.503], [0.166, 0.409, 0.003], [0.454, 0.598, 0.643], [0.046, 0.902, 0.143], [0.954, 0.902, 0.357], [0.546, 0.598, 0.857], [0.546, 0.402, 0.357], [0.954, 0.098, 0.857], [0.046, 0.098, 0.643], [0.454, 0.402, 0.143]], "e_form_ev_per_atom": -0.937}

8.
{"formula": "LiAgF2", "functional": "PBE", "state": "optimized geometry", "lattice": [[-5.084, 2.237, -3.173], [3.574, -5.077, -1.537], [-4.048, -3.995, 3.564]], "species": ["Li", "Li", "Li", "Li", "Ag", "Ag", "Ag", "Ag", "F", "F", "F", "F", "F", "F", "F", "F"], "fractional_positions": [[0.578, 0.940, 0.642], [0.940, 0.578, 0.142], [0.060, 0.422, 0.858], [0.422, 0.060, 0.358], [0.664, 0.798, 0.057], [0.202, 0.336, 0.443], [0.798, 0.664, 0.557], [0.336, 0.202, 0.943], [0.579, 0.884, 0.368], [0.097, 0.903, 0.250], [0.396, 0.604, 0.750], [0.116, 0.421, 0.132], [0.884, 0.579, 0.868], [0.604, 0.396, 0.250], [0.903, 0.097, 0.750], [0.421, 0.116, 0.632]], "e_form_ev_per_atom": -2.106, "relative_energy_ev_per_atom": 0.069}

Number 1: raw total energy -84.3 eV/f.u.. Number 2: raw total energy -137.3 eV/f.u.. Number 3: raw total energy -178.6 eV/f.u.. Number 4: raw total energy -9.5 eV/f.u.. Number 5: raw total energy -28.4 eV/f.u.. Number 6: raw total energy -60.1 eV/f.u.. Number 7: raw total energy -84.2 eV/f.u.. Number 8: raw total energy -16.1 eV/f.u..